(1)
! Y2InCl7 PBE optimized geometry; values from VASP
! VASP energy: -4.86 eV per atom
! volume: 1175 Å³/cell
! DFT formation energy: -24.2 eV per formula unit
&SYSTEM
  ibrav = 0, nat = 40, ntyp = 3
/
ATOMIC_SPECIES
Cl 35.45 Cl.upf
Y 88.91 Y.upf
In 114.82 In.upf
CELL_PARAMETERS angstrom
6.986 0.000 0.000
0.000 12.712 0.000
0.000 0.000 13.231
ATOMIC_POSITIONS angstrom
Cl 1.747 8.692 5.191
Y 5.240 5.909 10.096
Cl 0.077 5.289 1.597
Y 5.240 0.447 3.480
Cl 3.556 5.788 4.886
Cl 3.436 10.318 8.910
In 5.240 10.191 12.715
Cl 0.063 6.923 8.345
Cl 3.570 11.645 5.018
Y 5.240 4.291 3.333
Y 1.747 6.803 3.135
Cl 0.063 12.144 1.729
In 1.747 3.836 7.132
Cl 6.909 11.645 5.018
Y 1.747 10.647 3.283
Cl 0.057 8.750 2.294
Cl 3.550 3.962 10.937
Cl 3.570 7.423 11.634
Cl 6.929 2.394 4.321
Cl 3.430 6.923 8.345
Cl 0.057 10.318 8.910
Cl 3.550 2.394 4.321
Cl 6.923 0.567 11.502
Y 1.747 8.421 9.899
Y 5.240 2.065 9.948
In 1.747 2.520 0.516
Cl 3.416 5.289 1.597
Cl 3.436 8.750 2.294
Y 1.747 12.264 9.751
Cl 6.909 7.423 11.634
Cl 3.416 1.067 8.213
Cl 1.747 10.376 11.807
Cl 5.240 2.336 1.425
Cl 6.923 5.788 4.886
Cl 0.077 1.067 8.213
Cl 5.240 4.020 8.040
Cl 3.556 0.567 11.502
Cl 3.430 12.144 1.729
Cl 6.929 3.962 10.937
In 5.240 8.876 6.100

(2)
! Li4ZrNbTe2O12 PBE optimized geometry; values from VASP
! VASP energy: -6.56 eV per atom
! volume: 224 Å³/cell
! DFT formation energy: -47.5 eV per formula unit
&SYSTEM
  ibrav = 0, nat = 20, ntyp = 5
/
ATOMIC_SPECIES
O 16.00 O.upf
Li 6.94 Li.upf
Te 127.60 Te.upf
Zr 91.22 Zr.upf
Nb 92.91 Nb.upf
CELL_PARAMETERS angstrom
-2.956 -4.345 -0.278
3.033 -1.785 -4.321
4.422 -3.347 5.277
ATOMIC_POSITIONS angstrom
O -1.375 -4.672 1.023
O 0.690 -1.640 -1.168
O 1.714 -3.092 -3.277
O 1.055 -6.005 1.293
O 3.432 -3.489 -0.750
Li 1.835 -7.728 1.923
O 3.790 -5.049 1.670
Te 0.036 -3.068 -2.279
O 2.966 -6.259 -0.804
Li 2.604 -4.810 -2.768
Li 4.834 -6.451 -0.088
Li 2.555 -1.720 -0.414
O 1.561 -3.153 1.341
O 2.948 -3.088 3.843
Zr 3.023 -1.785 -4.277
O 3.814 -7.760 1.724
Nb 2.247 -4.736 0.378
O 2.711 -6.429 3.826
Te 2.279 -7.794 -1.921
O 0.763 -4.462 -1.104

(3)
! CeI4O12 PBE optimized geometry; values from VASP
! VASP energy: -5.05 eV per atom
! volume: 568 Å³/cell
! DFT formation energy: -22.7 eV per formula unit
&SYSTEM
  ibrav = 0, nat = 34, ntyp = 3
/
ATOMIC_SPECIES
I 126.90 I.upf
O 16.00 O.upf
Ce 140.12 Ce.upf
CELL_PARAMETERS angstrom
10.251 0.000 0.000
0.000 10.251 0.000
0.000 0.000 5.402
ATOMIC_POSITIONS angstrom
I 7.903 5.094 0.196
I 5.094 2.348 5.206
O 4.114 9.020 2.707
I 2.777 10.220 2.505
O 0.790 1.968 4.371
O 5.916 7.093 3.732
O 8.283 0.790 1.031
I 7.473 0.031 2.505
I 0.031 2.777 2.897
O 4.335 3.157 3.732
O 6.356 9.239 0.006
I 10.220 7.473 2.897
O 3.895 1.012 0.006
O 4.390 3.576 1.013
Ce 5.125 5.125 2.701
O 3.157 5.916 1.670
O 1.550 9.515 3.714
O 1.968 9.460 1.031
O 5.861 6.675 1.013
O 8.701 0.736 3.714
O 9.020 6.137 2.695
O 9.239 3.895 5.395
O 6.137 1.230 2.707
O 7.093 4.335 1.670
O 1.230 4.114 2.695
Ce 0.000 0.000 0.000
O 9.460 8.283 4.371
I 2.348 5.156 0.196
I 5.156 7.903 5.206
O 1.012 6.356 5.395
O 3.576 5.861 4.389
O 6.675 4.390 4.389
O 9.515 8.701 1.688
O 0.736 1.550 1.688